[1]
Below is a geometry-optimized Cs3Li2GaMo4O16 structure, with properties calculated at the PBE+U level.

Cell: 10.8244 10.8244 10.8244 Å, 109.35 109.35 109.71°
Closest atoms and distances in Å follow each position.
Element x y z (fractional)
Cs 0.0000 0.0000 0.0000  12 O 3.40-3.44
Cs 0.2346 0.6250 0.1096  12 O 3.29-3.59
Cs 0.3750 0.4846 0.6096  12 O 3.29-3.59
Cs 0.5154 0.1250 0.8904  12 O 3.29-3.59
Cs 0.7500 0.2500 0.5000  12 O 3.40-3.44
Cs 0.8750 0.7654 0.3904  12 O 3.29-3.59
Li 0.3750 0.0007 0.1257  4 O 1.97
Li 0.7507 0.6250 0.6257  4 O 1.97
Li 0.8750 0.2493 0.8743  4 O 1.97
Li 0.9993 0.1250 0.3743  4 O 1.97
Ga 0.2500 0.7500 0.5000  4 O 1.84
Ga 0.5000 0.5000 0.0000  4 O 1.84
Mo 0.1259 0.6814 0.7472  4 O 1.76-1.89
Mo 0.1288 0.1843 0.7528  4 O 1.76-1.89
Mo 0.3186 0.0657 0.4445  4 O 1.76-1.89
Mo 0.4314 0.3759 0.2472  4 O 1.76-1.89
Mo 0.6212 0.8741 0.5555  4 O 1.76-1.89
Mo 0.6241 0.8712 0.0555  4 O 1.76-1.89
Mo 0.8157 0.5686 0.9445  4 O 1.76-1.89
Mo 0.9343 0.3788 0.2528  4 O 1.76-1.89
O 0.0119 0.1342 0.5636  1 Mo 1.78, 1 Li 1.97
O 0.0548 0.2482 0.8693  1 Mo 1.78, 1 Li 1.97
O 0.0787 0.5812 0.3294  1 Ga 1.84, 1 Mo 1.89
O 0.1241 0.0190 0.7487  1 Mo 1.76
O 0.1254 0.5203 0.7513  1 Mo 1.76
O 0.1794 0.1158 0.3777  1 Mo 1.78, 1 Li 1.97
O 0.1983 0.8206 0.9364  1 Mo 1.78, 1 Li 1.97
O 0.2506 0.9213 0.5025  1 Ga 1.84, 1 Mo 1.89
O 0.2518 0.7494 0.6706  1 Ga 1.84, 1 Mo 1.89
O 0.2703 0.3754 0.2513  1 Mo 1.76
O 0.3312 0.3287 0.8294  1 Ga 1.84, 1 Mo 1.89
O 0.3711 0.0018 0.3067  1 Mo 1.78, 1 Li 1.97
O 0.3789 0.1855 0.1307  1 Mo 1.78, 1 Li 1.97
O 0.4188 0.7482 0.4975  1 Ga 1.84, 1 Mo 1.89
O 0.4797 0.2310 0.6051  1 Mo 1.76
O 0.4982 0.6688 0.9975  1 Ga 1.84, 1 Mo 1.89
O 0.4994 0.5018 0.1706  1 Ga 1.84, 1 Mo 1.89
O 0.5517 0.9881 0.1223  1 Mo 1.78, 1 Li 1.97
O 0.5706 0.4483 0.4364  1 Mo 1.78, 1 Li 1.97
O 0.6246 0.8759 0.8949  1 Mo 1.76
O 0.6259 0.8746 0.3949  1 Mo 1.76
O 0.6713 0.5006 0.0025  1 Ga 1.84, 1 Mo 1.89
O 0.6952 0.0645 0.6933  1 Mo 1.78, 1 Li 1.97
O 0.7381 0.8017 0.6223  1 Mo 1.78, 1 Li 1.97
O 0.7518 0.6211 0.8067  1 Mo 1.78, 1 Li 1.97
O 0.7690 0.3741 0.2487  1 Mo 1.76
O 0.8145 0.9452 0.1933  1 Mo 1.78, 1 Li 1.97
O 0.8658 0.4294 0.8777  1 Mo 1.78, 1 Li 1.97
O 0.8842 0.2619 0.0636  1 Mo 1.78, 1 Li 1.97
O 0.9355 0.6289 0.6307  1 Mo 1.78, 1 Li 1.97
O 0.9810 0.7297 0.1051  1 Mo 1.76
O 0.9982 0.3048 0.3693  1 Mo 1.78, 1 Li 1.97

Values from the calculation:
- DFT formation energy (eV per atom) = -2.197
- magnetic moment (Bohr magnetons per cell) = 0.00
- total energy (eV/atom) = -6.3617

=====

[2]
Below is a geometry-optimized CsVGaP2O10 structure, with properties calculated at the PBE+U level.

Cell: 8.0947 8.2056 14.4626 Å, 90.00 106.68 90.00°
Closest atoms and distances in Å follow each position.
Element x y z (fractional)
Cs 0.1796 0.0274 0.2954  10 O 3.10-3.40
Cs 0.1796 0.4726 0.7954  10 O 3.10-3.40
Cs 0.8204 0.5274 0.2046  10 O 3.10-3.40
Cs 0.8204 0.9726 0.7046  10 O 3.10-3.40
V 0.2994 0.5477 0.1330  1 O 1.65
V 0.2994 0.9523 0.6330  1 O 1.65
V 0.7006 0.0477 0.3670  1 O 1.65
V 0.7006 0.4523 0.8670  1 O 1.65
Ga 0.2238 0.0398 0.9731  4 O 1.82-1.87
Ga 0.2238 0.4602 0.4731  4 O 1.82-1.87
Ga 0.7762 0.5398 0.5269  4 O 1.82-1.87
Ga 0.7762 0.9602 0.0269  4 O 1.82-1.87
P 0.0033 0.2234 0.5389  4 O 1.53-1.56
P 0.0033 0.2766 0.0389  4 O 1.53-1.56
P 0.4989 0.6029 0.6492  4 O 1.53-1.56
P 0.4989 0.8971 0.1492  4 O 1.53-1.56
P 0.5011 0.1029 0.8508  4 O 1.53-1.56
P 0.5011 0.3971 0.3508  4 O 1.53-1.56
P 0.9967 0.7234 0.9611  4 O 1.53-1.56
P 0.9967 0.7766 0.4611  4 O 1.53-1.56
O 0.0578 0.6187 0.4209  1 P 1.56
O 0.0578 0.8813 0.9209  1 P 1.56
O 0.0950 0.2296 0.9612  1 P 1.56
O 0.0950 0.2704 0.4612  1 P 1.56
O 0.1222 0.1341 0.6259  1 P 1.53
O 0.1222 0.3659 0.1259  1 P 1.53
O 0.1559 0.6153 0.0079  1 P 1.55
O 0.1559 0.8847 0.5079  1 P 1.55
O 0.2181 0.6605 0.2041  1 V 1.65
O 0.2181 0.8395 0.7041  1 V 1.65
O 0.3295 0.5074 0.6005  1 P 1.56
O 0.3295 0.9926 0.1005  1 P 1.56
O 0.3535 0.0389 0.8891  1 P 1.55
O 0.3535 0.4611 0.3891  1 P 1.55
O 0.4290 0.0951 0.5716  1 V 1.95
O 0.4290 0.4049 0.0716  1 V 1.95
O 0.4587 0.0716 0.7418  1 P 1.53
O 0.4587 0.4284 0.2418  1 P 1.53
O 0.4746 0.7136 0.1266  1 P 1.54
O 0.4746 0.7864 0.6266  1 P 1.54
O 0.5254 0.2136 0.3734  1 P 1.54
O 0.5254 0.2864 0.8734  1 P 1.54
O 0.5413 0.5716 0.7582  1 P 1.53
O 0.5413 0.9284 0.2582  1 P 1.53
O 0.5710 0.5951 0.9284  1 V 1.95
O 0.5710 0.9049 0.4284  1 V 1.95
O 0.6465 0.5389 0.6109  1 P 1.55
O 0.6465 0.9611 0.1109  1 P 1.55
O 0.6705 0.0074 0.8995  1 P 1.56
O 0.6705 0.4926 0.3995  1 P 1.56
O 0.7819 0.1605 0.2959  1 V 1.65
O 0.7819 0.3395 0.7959  1 V 1.65
O 0.8441 0.1153 0.4921  1 P 1.55
O 0.8441 0.3847 0.9921  1 P 1.55
O 0.8778 0.6341 0.8741  1 P 1.53
O 0.8778 0.8659 0.3741  1 P 1.53
O 0.9050 0.7296 0.5388  1 P 1.56
O 0.9050 0.7704 0.0388  1 P 1.56
O 0.9422 0.1187 0.0791  1 P 1.56
O 0.9422 0.3813 0.5791  1 P 1.56

Values from the calculation:
- DFT formation energy (eV per atom) = -2.374
- magnetic moment (Bohr magnetons per cell) = 4.00
- total energy (eV/atom) = -6.6900

=====

[3]
Below is a geometry-optimized CsGdMo2O8 structure, with properties calculated at the PBE+U level.

Cell: 9.7624 5.1559 8.2460 Å, 90.00 92.40 90.00°
Closest atoms and distances in Å follow each position.
Element x y z (fractional)
Cs 0.0000 0.0150 0.2500  6 O 3.07-3.43
Cs 0.0000 0.9850 0.7500  6 O 3.07-3.43
Gd 0.5000 0.0030 0.7500  8 O 2.33-2.56
Gd 0.5000 0.9970 0.2500  8 O 2.33-2.56
Mo 0.3073 0.4774 0.4873  4 O 1.75-1.87
Mo 0.3073 0.5226 0.9873  4 O 1.75-1.87
Mo 0.6927 0.4774 0.0127  4 O 1.75-1.87
Mo 0.6927 0.5226 0.5127  4 O 1.75-1.87
O 0.1426 0.3859 0.9749  1 Mo 1.75
O 0.1426 0.6141 0.4749  1 Mo 1.75
O 0.3103 0.2484 0.6537  1 Mo 1.81
O 0.3103 0.7516 0.1537  1 Mo 1.81
O 0.3212 0.2775 0.3081  1 Mo 1.81
O 0.3212 0.7225 0.8081  1 Mo 1.81
O 0.4345 0.2518 0.9917  1 Mo 1.87
O 0.4345 0.7482 0.4917  1 Mo 1.87
O 0.5655 0.2518 0.5083  1 Mo 1.87
O 0.5655 0.7482 0.0083  1 Mo 1.87
O 0.6788 0.2775 0.1919  1 Mo 1.81
O 0.6788 0.7225 0.6919  1 Mo 1.81
O 0.6897 0.2484 0.8463  1 Mo 1.81
O 0.6897 0.7516 0.3463  1 Mo 1.81
O 0.8574 0.3859 0.5251  1 Mo 1.75
O 0.8574 0.6141 0.0251  1 Mo 1.75

Values from the calculation:
- DFT formation energy (eV per atom) = -2.529
- magnetic moment (Bohr magnetons per cell) = 14.00
- total energy (eV/atom) = -7.8912

=====

[4]
Below is a geometry-optimized CsGdMo2O8 structure, with properties calculated at the PBE+U level.

Cell: 7.6728 7.6728 7.8546 Å, 117.92 117.92 88.97°
Closest atoms and distances in Å follow each position.
Element x y z (fractional)
Cs 0.1972 0.8028 0.7500  10 O 2.93-3.24
Cs 0.8028 0.1972 0.2500  10 O 2.93-3.24
Gd 0.2295 0.7705 0.2500  6 O 2.36-2.44
Gd 0.7705 0.2295 0.7500  6 O 2.36-2.44
Mo 0.3057 0.3075 0.2663  3 O 1.78-1.86
Mo 0.3075 0.3057 0.7663  3 O 1.78-1.86
Mo 0.6925 0.6943 0.2337  3 O 1.78-1.86
Mo 0.6943 0.6925 0.7337  3 O 1.78-1.86
O 0.0552 0.2116 0.6985  1 Mo 1.81
O 0.0724 0.3829 0.1276  1 Mo 1.86
O 0.2116 0.0552 0.1985  1 Mo 1.81
O 0.2424 0.3822 0.5670  1 Mo 1.78
O 0.3696 0.5827 0.0306  2 Mo 2.01-2.12
O 0.3822 0.2424 0.0670  1 Mo 1.78
O 0.3829 0.0724 0.6276  1 Mo 1.86
O 0.4173 0.6304 0.4694  2 Mo 2.01-2.12
O 0.5827 0.3696 0.5306  2 Mo 2.01-2.12
O 0.6171 0.9276 0.3724  1 Mo 1.86
O 0.6178 0.7576 0.9330  1 Mo 1.78
O 0.6304 0.4173 0.9694  2 Mo 2.01-2.12
O 0.7576 0.6178 0.4330  1 Mo 1.78
O 0.7884 0.9448 0.8015  1 Mo 1.81
O 0.9276 0.6171 0.8724  1 Mo 1.86
O 0.9448 0.7884 0.3015  1 Mo 1.81

Values from the calculation:
- DFT formation energy (eV per atom) = -2.490
- magnetic moment (Bohr magnetons per cell) = 14.00
- total energy (eV/atom) = -7.8520

=====

Q: DFT formation energy of number 4 (CsGdMo2O8)?
A: -2.490 eV per atom